This record from the Materials Project describes crystalline BaH2O2 at its relaxed geometry. The functional is PBE.

Unit cell a=8.2626 b=7.0447 c=10.7627 alpha=57.29 beta=90.00 gamma=90.00
Last column: nearest neighbours and their distance in Å.
Positions (direct):
Ba 0.8662 0.3320 0.9044  4 H 2.71-2.84, 7 O 2.75-3.03
Ba 0.6338 0.3320 0.4044  4 H 2.71-2.84, 7 O 2.75-3.03
Ba 0.1338 0.6680 0.0956  4 H 2.71-2.84, 7 O 2.75-3.03
Ba 0.3662 0.6680 0.5956  4 H 2.71-2.84, 7 O 2.75-3.03
Ba 0.9603 0.9658 0.3288  3 H 2.61-2.83, 5 O 2.65-2.78
Ba 0.5397 0.9658 0.8288  3 H 2.61-2.83, 5 O 2.65-2.78
Ba 0.0397 0.0342 0.6712  3 H 2.61-2.83, 5 O 2.65-2.78
Ba 0.4603 0.0342 0.1712  3 H 2.61-2.83, 5 O 2.65-2.78
H 0.9835 0.5728 0.6166  1 O 0.98
H 0.5165 0.5728 0.1166  1 O 0.98
H 0.0165 0.4272 0.3834  1 O 0.98
H 0.4835 0.4272 0.8834  1 O 0.98
H 0.1992 0.2392 0.1761  1 O 0.99
H 0.3008 0.2392 0.6761  1 O 0.99
H 0.8008 0.7608 0.8239  1 O 0.99
H 0.6992 0.7608 0.3239  1 O 0.99
H 0.1861 0.1805 0.9248  1 O 0.98
H 0.3139 0.1805 0.4248  1 O 0.98
H 0.8139 0.8195 0.0752  1 O 0.98
H 0.6861 0.8195 0.5752  1 O 0.98
H 0.2480 0.5500 0.3980  1 O 0.98
H 0.2520 0.5500 0.8980  1 O 0.98
H 0.7520 0.4500 0.6020  1 O 0.98
H 0.7480 0.4500 0.1020  1 O 0.98
O 0.0314 0.6943 0.6231  1 H 0.98
O 0.4686 0.6943 0.1231  1 H 0.98
O 0.9686 0.3057 0.3769  1 H 0.98
O 0.5314 0.3057 0.8769  1 H 0.98
O 0.1442 0.2720 0.0850  1 H 0.99
O 0.3558 0.2720 0.5850  1 H 0.99
O 0.8558 0.7280 0.9150  1 H 0.99
O 0.6442 0.7280 0.4150  1 H 0.99
O 0.1580 0.1187 0.8653  1 H 0.98
O 0.3420 0.1187 0.3653  1 H 0.98
O 0.8420 0.8813 0.1347  1 H 0.98
O 0.6580 0.8813 0.6347  1 H 0.98
O 0.1972 0.6984 0.3347  1 H 0.98
O 0.3028 0.6984 0.8347  1 H 0.98
O 0.8028 0.3016 0.6653  1 H 0.98
O 0.6972 0.3016 0.1653  1 H 0.98

This record from the Materials Project describes crystalline CeCuS2 at its relaxed geometry. The functional is PBE.

Unit cell a=7.1988 b=6.4576 c=6.8991 alpha=82.20 beta=90.00 gamma=90.00
Last column: nearest neighbours and their distance in Å.
Positions (direct):
Ce 0.5519 0.6890 0.1995  7 S 2.84-3.06
Ce 0.0519 0.3110 0.3005  7 S 2.84-3.06
Ce 0.4481 0.3110 0.8005  7 S 2.84-3.06
Ce 0.9481 0.6890 0.6995  7 S 2.84-3.06
Cu 0.8337 0.0692 0.9611  3 S 2.31-2.35
Cu 0.1663 0.9308 0.0389  3 S 2.31-2.35
Cu 0.3337 0.9308 0.5389  3 S 2.31-2.35
Cu 0.6663 0.0692 0.4611  3 S 2.31-2.35
S 0.8836 0.9095 0.2832  2 Cu 2.32-2.35
S 0.3836 0.0905 0.2168  2 Cu 2.32-2.35
S 0.1164 0.0905 0.7168  2 Cu 2.32-2.35
S 0.6164 0.9095 0.7832  2 Cu 2.32-2.35
S 0.7266 0.4122 0.5000  1 Cu 2.31
S 0.7734 0.4122 0.0000  1 Cu 2.31
S 0.2734 0.5878 0.5000  1 Cu 2.31
S 0.2266 0.5878 0.0000  1 Cu 2.31

This record from the Materials Project describes crystalline Cs2SnAs2Se9 at its relaxed geometry. The functional is PBE.

Unit cell a=18.1971 b=7.4291 c=7.9995 alpha=64.79 beta=90.00 gamma=90.00
Last column: nearest neighbours and their distance in Å.
Positions (direct):
Cs 0.0635 0.6923 0.2422  9 Se 3.71-4.11, 1 As 4.02
Cs 0.7917 0.0851 0.4832  11 Se 3.79-4.24
Cs 0.5635 0.3077 0.7578  9 Se 3.71-4.11, 1 As 4.02
Cs 0.2917 0.9149 0.5168  11 Se 3.79-4.24
Sn 0.6679 0.6773 0.1184  6 Se 2.72-2.83
Sn 0.1679 0.3227 0.8816  6 Se 2.72-2.83
As 0.3547 0.1909 0.9360  3 Se 2.37-2.53
As 0.9536 0.3618 0.8406  3 Se 2.36-2.47
As 0.4536 0.6382 0.1594  3 Se 2.36-2.47
As 0.8547 0.8091 0.0640  3 Se 2.37-2.53
Se 0.1184 0.7015 0.7923  1 Se 2.38
Se 0.7534 0.0274 0.0057  1 As 2.37
Se 0.1061 0.1875 0.2276  1 Se 2.38
Se 0.2929 0.4328 0.0101  1 As 2.40
Se 0.8514 0.6245 0.4124  1 Se 2.35, 1 As 2.53
Se 0.9954 0.7080 0.6896  1 Se 2.38, 1 As 2.45
Se 0.2237 0.3973 0.5360  1 Se 2.35
Se 0.3514 0.3755 0.5876  1 Se 2.35, 1 As 2.53
Se 0.7929 0.5672 0.9899  1 As 2.40
Se 0.0480 0.1993 0.7562  1 As 2.36
Se 0.2534 0.9726 0.9943  1 As 2.37
Se 0.4785 0.7445 0.8271  1 Se 2.38, 1 As 2.47
Se 0.4954 0.2920 0.3104  1 Se 2.38, 1 As 2.45
Se 0.7237 0.6027 0.4640  1 Se 2.35
Se 0.6061 0.8125 0.7724  1 Se 2.38
Se 0.5480 0.8007 0.2438  1 As 2.36
Se 0.6184 0.2985 0.2077  1 Se 2.38
Se 0.9785 0.2555 0.1729  1 Se 2.38, 1 As 2.47

This record from the Materials Project describes crystalline NaLi2La3Ti6O18 at its relaxed geometry. The functional is PBE.

Unit cell a=9.5666 b=9.5666 c=5.5583 alpha=73.13 beta=73.13 gamma=119.67
Last column: nearest neighbours and their distance in Å.
Positions (direct):
Na 0.2502 0.7498 0.0000  12 O 2.64-2.90
Li 0.8338 0.1670 0.7529  4 O 1.94-2.04
Li 0.8330 0.1662 0.2471  4 O 1.94-2.04
La 0.5868 0.4132 0.0000  11 O 2.54-2.85
La 0.0799 0.9201 0.5000  9 O 2.53-2.78
La 0.4172 0.5828 0.5000  12 O 2.58-2.85
Ti 0.0054 0.5036 0.7429  6 O 1.93-2.00
Ti 0.3344 0.1608 0.7508  6 O 1.91-2.03
Ti 0.6610 0.8341 0.7564  6 O 1.90-2.02
Ti 0.4964 0.9946 0.2571  6 O 1.93-2.00
Ti 0.8392 0.6656 0.2492  6 O 1.91-2.03
Ti 0.1659 0.3390 0.2436  6 O 1.90-2.02
O 0.3891 0.0769 0.0480  2 Ti 1.95-2.00
O 0.7444 0.2556 0.0000  2 Ti 2.00, 2 Li 2.01
O 0.9231 0.6109 0.9520  2 Ti 1.95-2.00
O 0.7200 0.7253 0.0337  2 Ti 1.98-2.03
O 0.3976 0.0649 0.5180  2 Ti 1.91-1.96
O 0.0760 0.9240 0.0000  2 Ti 1.95
O 0.5871 0.4129 0.5000  2 Ti 1.98
O 0.2747 0.2800 0.9663  2 Ti 1.98-2.03
O 0.9351 0.6024 0.4820  2 Ti 1.91-1.96
O 0.0767 0.4159 0.0127  2 Ti 1.90-1.96, 1 Li 1.94
O 0.7347 0.7194 0.5473  2 Ti 2.01-2.02
O 0.4099 0.5901 0.0000  2 Ti 1.94
O 0.9226 0.0774 0.5000  2 Ti 1.99, 2 Li 2.04
O 0.5841 0.9233 0.9873  2 Ti 1.90-1.96, 1 Li 1.94
O 0.2806 0.2653 0.4527  2 Ti 2.01-2.02
O 0.0878 0.4069 0.5233  1 Li 1.94, 2 Ti 1.95
O 0.2602 0.7398 0.5000  2 Ti 1.93
O 0.5931 0.9122 0.4767  1 Li 1.94, 2 Ti 1.95

This record from the Materials Project describes crystalline CeMg3 at its relaxed geometry. The functional is PBE.

Unit cell a=3.1329 b=5.3129 c=6.2255 alpha=90.00 beta=90.00 gamma=90.00
Last column: nearest neighbours and their distance in Å.
Positions (direct):
Ce 0.5000 0.0000 0.1549  2 Ce 3.13, 10 Mg 3.33-3.50
Mg 0.0000 0.0000 0.6529  8 Mg 3.13-3.28, 4 Ce 3.47-3.50
Mg 0.0000 0.5000 0.3608  6 Mg 3.13-3.32, 4 Ce 3.34
Mg 0.5000 0.5000 0.8314  8 Mg 3.13-3.32, 2 Ce 3.33

This record from the Materials Project describes crystalline CaNi2Ge2 at its relaxed geometry. The functional is PBE.

Unit cell a=5.7812 b=5.7812 c=5.7812 alpha=138.52 beta=138.52 gamma=60.10
Last column: nearest neighbours and their distance in Å.
Positions (direct):
Ca 0.0000 0.0000 0.0000  8 Ge 3.18, 8 Ni 3.23
Ni 0.7500 0.2500 0.5000  4 Ge 2.37
Ni 0.2500 0.7500 0.5000  4 Ge 2.37
Ge 0.3685 0.3685 0.0000  4 Ni 2.37, 1 Ge 2.63
Ge 0.6315 0.6315 0.0000  4 Ni 2.37, 1 Ge 2.63

This record from the Materials Project describes crystalline Hf8MgN8O4 at its relaxed geometry. The functional is PBE.

Unit cell a=5.4154 b=5.6488 c=11.2053 alpha=100.78 beta=78.75 gamma=59.91
Last column: nearest neighbours and their distance in Å.
Positions (direct):
Hf 0.1910 0.3144 0.3132  3 N 2.06-2.19, 2 O 2.11-2.13
Hf 0.1041 0.0117 0.7807  4 N 2.08-2.23, 1 O 2.19
Hf 0.3667 0.4460 0.9318  3 N 2.08-2.13, 1 O 2.12
Hf 0.6240 0.2066 0.5457  3 N 2.04-2.16, 1 O 2.23
Hf 0.3705 0.7882 0.4809  4 N 2.11-2.30, 2 O 2.12-2.22
Hf 0.8852 0.9428 0.2449  3 N 2.05-2.21, 2 O 2.09-2.25
Hf 0.6300 0.8371 0.0158  4 N 2.16-2.28, 1 O 2.16
Hf 0.8353 0.6253 0.7148  2 O 2.12-2.17, 4 N 2.13-2.29
Mg 0.8552 0.3061 0.0842  2 N 2.07-2.10, 1 O 2.11
N 0.4800 0.0362 0.3904  4 Hf 2.06-2.28
N 0.5797 0.1819 0.1630  3 Hf 2.05-2.16, 1 Mg 2.07
N 0.2376 0.6132 0.6305  4 Hf 2.04-2.27
N 0.7637 0.3623 0.4016  4 Hf 2.11-2.36
N 0.4036 0.7675 0.8736  4 Hf 2.13-2.29
N 0.0011 0.5887 0.0943  3 Hf 2.08-2.26, 1 Mg 2.10
N 0.9377 0.2007 0.6333  4 Hf 2.11-2.30
N 0.7289 0.0143 0.8724  4 Hf 2.08-2.27
O 0.1853 0.0398 0.1571  3 Hf 2.09-2.16, 1 Mg 2.11
O 0.0923 0.7374 0.3834  3 Hf 2.11-2.25
O 0.0689 0.4230 0.8402  3 Hf 2.12-2.19
O 0.5616 0.8974 0.6236  3 Hf 2.12-2.23

Computed properties:
Energy relative to the lowest polymorph listed for this composition: 0.0000 eV/atom

This record from the Materials Project describes crystalline Fe2CuN2 at its relaxed geometry. The functional is PBE.

Unit cell a=2.9797 b=2.9708 c=8.6015 alpha=90.00 beta=121.23 gamma=119.90
Last column: nearest neighbours and their distance in Å.
Positions (direct):
Fe 0.6524 0.3262 0.1599  3 N 1.78
Fe 0.3476 0.6738 0.8401  3 N 1.78
Cu 0.0000 0.0000 0.5000  2 N 1.88
N 0.5477 0.2738 0.7726  3 Fe 1.78, 1 Cu 1.88
N 0.4523 0.7262 0.2274  3 Fe 1.78, 1 Cu 1.88

Computed properties:
Energy relative to the lowest polymorph listed for this composition: 0.0000 eV/atom

| no. | energy of formation (eV/atom) | energy (eV/atom) |
| --- | --- | --- |
| 1 | -2.0207 | -5.47 |
| 2 | -1.6011 | -5.93 |
| 3 | -0.7476 | -3.77 |
| 4 | -3.4376 | -8.24 |
| 5 | 0.0845 | -2.60 |
| 6 | -0.5467 | -5.11 |
| 7 | -2.1058 | -9.96 |
| 8 | -0.0397 | -7.44 |